Record 1
DFT (PBE-GGA) results for a relaxed structure of Y3BiRu4O14.

Computed properties:
- DFT total energy (eV/atom) = -7.770
- SG = R-3m, No. 166
- calculated volume (Å³/cell) = 273

Lattice parameters (Å, degrees): 7.270 7.270 7.270 60.17 60.17 60.17
Atoms (fractional coordinates):
Y1 0.000 0.500 0.500
Y2 0.500 0.000 0.500
Y3 0.500 0.500 0.000
Bi1 0.500 0.500 0.500
Ru1 0.000 0.000 0.000
Ru2 0.000 0.000 0.500
Ru3 0.000 0.500 0.000
Ru4 0.500 0.000 0.000
O1 0.082 0.667 0.667
O2 0.084 0.084 0.665
O3 0.084 0.665 0.084
O4 0.333 0.333 0.918
O5 0.333 0.918 0.333
O6 0.335 0.916 0.916
O7 0.371 0.371 0.371
O8 0.629 0.629 0.629
O9 0.665 0.084 0.084
O10 0.667 0.082 0.667
O11 0.667 0.667 0.082
O12 0.916 0.335 0.916
O13 0.916 0.916 0.335
O14 0.918 0.333 0.333

---

Record 2
DFT (PBE-GGA) results for a relaxed structure of YMgSe3.

Computed properties:
- energy above the most stable polymorph in this dataset (meV per atom) = 69
- DFT total energy (eV/atom) = -4.868
- SG = C2/m, No. 12
- calculated volume (Å³/cell) = 288

Lattice parameters (Å, degrees): 7.283 7.283 6.733 106.97 106.97 110.40
Atoms (fractional coordinates):
Y1 0.223 0.223 0.227
Y2 0.777 0.777 0.773
Mg1 0.333 0.667 0.000
Mg2 0.667 0.333 0.000
Se1 0.105 0.797 0.196
Se2 0.203 0.895 0.804
Se3 0.416 0.416 0.708
Se4 0.584 0.584 0.292
Se5 0.797 0.105 0.196
Se6 0.895 0.203 0.804

---

Record 3
DFT (PBE-GGA) results for a relaxed structure of Na2Al2As3.

Computed properties:
- DFT total energy (eV/atom) = -3.939
- SG = P2_1/c, No. 14
- calculated volume (Å³/cell) = 1308

Lattice parameters (Å, degrees): 13.222 6.780 14.594 90.00 90.33 90.00
Atoms (fractional coordinates):
Na1 0.066 0.099 0.415
Na2 0.066 0.401 0.915
Na3 0.150 0.589 0.481
Na4 0.150 0.911 0.981
Na5 0.362 0.054 0.491
Na6 0.362 0.446 0.991
Na7 0.414 0.548 0.393
Na8 0.414 0.952 0.893
Na9 0.586 0.048 0.107
Na10 0.586 0.452 0.607
Na11 0.638 0.554 0.009
Na12 0.638 0.946 0.509
Na13 0.850 0.089 0.019
Na14 0.850 0.411 0.519
Na15 0.934 0.599 0.085
Na16 0.934 0.901 0.585
Al1 0.089 0.736 0.241
Al2 0.089 0.764 0.741
Al3 0.184 0.212 0.166
Al4 0.184 0.288 0.666
Al5 0.311 0.737 0.173
Al6 0.311 0.763 0.673
Al7 0.406 0.203 0.230
Al8 0.406 0.297 0.730
Al9 0.594 0.703 0.270
Al10 0.594 0.797 0.770
Al11 0.689 0.237 0.327
Al12 0.689 0.263 0.827
Al13 0.816 0.712 0.334
Al14 0.816 0.788 0.834
Al15 0.911 0.236 0.259
Al16 0.911 0.264 0.759
As1 0.020 0.030 0.157
As2 0.020 0.470 0.657
As3 0.161 0.549 0.105
As4 0.161 0.951 0.605
As5 0.247 0.663 0.830
As6 0.247 0.837 0.330
As7 0.250 0.211 0.326
As8 0.250 0.289 0.826
As9 0.338 0.046 0.086
As10 0.338 0.454 0.586
As11 0.466 0.530 0.173
As12 0.466 0.970 0.673
As13 0.534 0.030 0.327
As14 0.534 0.470 0.827
As15 0.662 0.546 0.414
As16 0.662 0.954 0.914
As17 0.750 0.711 0.174
As18 0.750 0.789 0.674
As19 0.753 0.163 0.670
As20 0.753 0.337 0.170
As21 0.839 0.049 0.395
As22 0.839 0.451 0.895
As23 0.980 0.530 0.343
As24 0.980 0.970 0.843

---

Record 4
DFT (PBE-GGA) results for a relaxed structure of YAg2.

Computed properties:
- DFT total energy (eV/atom) = -4.378
- SG = I4/mmm, No. 139
- calculated volume (Å³/cell) = 66

Lattice parameters (Å, degrees): 5.338 5.338 5.338 138.67 138.67 59.87
Atoms (fractional coordinates):
Y1 0.000 0.000 0.000
Ag1 0.331 0.331 0.000
Ag2 0.669 0.669 0.000